[1]
r²SCAN HfZrW4, relaxed; DFT formation energy = -14.9 kJ/mol of atoms; total magnetization = 0.000 μB per atom
1.0
-5.077 1.780 0.176
-1.742 3.536 -3.667
-3.525 -1.542 -3.765
Hf Zr W
1 1 4
Direct
0.250 0.250 0.250
0.000 0.000 0.000
0.625 0.625 0.125
0.625 0.125 0.625
0.125 0.625 0.625
0.625 0.625 0.625

=====

[2]
r²SCAN CaMoF5, relaxed; energy above the most stable polymorph in this dataset = 0.00 eV/f.u.; DFT formation energy = -312.5 kJ/mol of atoms; total magnetization = 0.429 μB per atom
1.0
3.371 4.639 -0.014
-3.371 4.639 -0.014
0.000 3.279 7.070
Ca Mo F
2 2 10
Direct
0.537 0.463 0.250
0.463 0.537 0.750
0.000 0.000 0.500
0.000 0.000 0.000
0.105 0.895 0.750
0.895 0.105 0.250
0.216 0.262 0.874
0.738 0.784 0.626
0.706 0.312 0.531
0.688 0.294 0.969
0.294 0.688 0.469
0.312 0.706 0.031
0.262 0.216 0.374
0.784 0.738 0.126

=====

[3]
r²SCAN P, relaxed; energy above the most stable polymorph in this dataset = 0.19 eV/f.u.; DFT formation energy = 18.2 kJ/mol of atoms; total magnetization = 0.000 μB per atom
1.0
3.240 -1.201 4.193
-1.576 1.069 1.524
-1.682 -1.645 -0.585
P
2
Direct
0.251 0.985 0.752
0.753 0.985 0.254

=====

[4]
r²SCAN ErCu3S3, relaxed; DFT formation energy = -96.5 kJ/mol of atoms; total magnetization = 0.000 μB per atom
1.0
3.310 -5.733 0.000
3.310 5.733 0.000
0.000 0.000 6.304
Er Cu S
2 6 6
Direct
0.333 0.667 0.500
0.667 0.333 0.500
0.000 0.342 0.868
0.342 0.000 0.868
0.658 0.658 0.868
0.000 0.658 0.132
0.658 0.000 0.132
0.342 0.342 0.132
0.330 0.330 0.749
0.000 0.670 0.749
0.670 0.000 0.749
0.670 0.670 0.251
0.000 0.330 0.251
0.330 0.000 0.251